No. 1
DFT (PBE) results for crystalline Cs2U2O7 at its relaxed geometry.

Computed properties:
The value obtained for the total energy after the MP2020 corrections is -8.64 eV/atom.

Cell and atoms, written as CIF:
```
data_Cs2U2O7
_cell_length_a 14.619
_cell_length_b 4.359
_cell_length_c 7.711
_cell_angle_alpha 90.00
_cell_angle_beta 113.27
_cell_angle_gamma 90.00
_space_group_name_H-M_alt 'C 1 2/m 1'
_space_group_IT_number 12
loop_
_space_group_symop_operation_xyz
'x,y,z'
'-x,-y,-z'
'-x,y,-z'
'x,-y,z'
'x+1/2,y+1/2,z'
'-x+1/2,-y+1/2,-z'
'-x+1/2,y+1/2,-z'
'x+1/2,-y+1/2,z'
loop_
_atom_site_label
_atom_site_fract_x
_atom_site_fract_y
_atom_site_fract_z
Cs1 0.104 0.000 0.418
U1 0.147 0.500 0.993
O1 0.000 0.500 0.000
O2 0.089 0.500 0.727
O3 0.191 0.000 0.996
O4 0.199 0.500 0.258
```

No. 2
DFT (PBE) results for crystalline NdInNi4 at its relaxed geometry.

Cell and atoms, written as CIF:
```
data_NdInNi4
_cell_length_a 7.151
_cell_length_b 7.151
_cell_length_c 7.151
_cell_angle_alpha 90.00
_cell_angle_beta 90.00
_cell_angle_gamma 90.00
_space_group_name_H-M_alt 'F -4 3 m'
_space_group_IT_number 216
_space_group_name_Hall 'F -4 2 3'
loop_
_atom_site_label
_atom_site_fract_x
_atom_site_fract_y
_atom_site_fract_z
Nd1 0.000 0.000 0.000
In1 0.250 0.250 0.250
Ni1 0.124 0.124 0.624
```

No. 3
DFT (PBE) results for crystalline ErF3 at its relaxed geometry.

Computed properties:
The value obtained for the total energy after the MP2020 corrections is -7.05 eV/atom.

Cell and atoms, written as CIF:
```
data_ErF3
_cell_length_a 6.134
_cell_length_b 6.852
_cell_length_c 4.740
_cell_angle_alpha 90.00
_cell_angle_beta 90.00
_cell_angle_gamma 90.00
_space_group_name_H-M_alt 'P n m a'
_space_group_IT_number 62
loop_
_space_group_symop_operation_xyz
'x,y,z'
'-x,-y,-z'
'-x+1/2,-y,z+1/2'
'x+1/2,y,-z+1/2'
'x+1/2,-y+1/2,-z+1/2'
'-x+1/2,y+1/2,z+1/2'
'-x,y+1/2,-z'
'x,-y+1/2,z'
loop_
_atom_site_label
_atom_site_fract_x
_atom_site_fract_y
_atom_site_fract_z
Er1 0.135 0.250 0.039
F1 0.035 0.750 0.369
F2 0.161 0.564 0.849
```

Total energy values (in eV per atom) by entry order: -8.2046, -5.4210, -6.7007.
E_form values (in eV/atom) by entry order: -3.2773, -0.3143, -4.4693.